No. 1
A plane-wave DFT calculation with PBE was carried out for a relaxed V3Pb3N5 crystal.

abc: 5.9809 7.7124 8.6616
angles: 106.38 97.24 102.33
Fractional coordinates of all 22 atoms:
V  0.9454  0.3147  0.9785
V  0.0546  0.6853  0.0215
V  0.6781  0.9905  0.6075
V  0.3219  0.0095  0.3925
V  0.0845  0.9232  0.7112
V  0.9155  0.0768  0.2888
Pb  0.7742  0.4740  0.5670
Pb  0.2258  0.5260  0.4330
Pb  0.5331  0.8183  0.8722
Pb  0.4669  0.1817  0.1278
Pb  0.6271  0.6618  0.2270
Pb  0.3729  0.3382  0.7730
N  0.9416  0.1355  0.7750
N  0.0584  0.8645  0.2250
N  0.8040  0.7927  0.5605
N  0.1960  0.2073  0.4395
N  0.7844  0.4953  0.9717
N  0.2156  0.5047  0.0283
N  0.3309  0.9392  0.5864
N  0.6691  0.0608  0.4136
N  0.1007  0.7995  0.8609
N  0.8993  0.2005  0.1391

Computed properties:
energy of formation from the pure elements = -4.6 eV per formula unit
total magnetization = 0.9 μB per formula unit
electronic total energy = -7.529 eV/atom

No. 2
A plane-wave DFT calculation with PBE was carried out for a relaxed SiSnO3 crystal.

abc: 7.0492 11.3948 13.0983
angles: 60.06 90.00 90.00
Fractional coordinates of all 60 atoms:
Si  0.5943  0.1385  0.8929
Si  0.8754  0.4620  0.6550
Si  0.8148  0.7486  0.4600
Si  0.8754  0.5380  0.8450
Si  0.5943  0.8615  0.6071
Si  0.8148  0.2514  0.0400
Si  0.1852  0.7486  0.9600
Si  0.4057  0.1385  0.3929
Si  0.1246  0.4620  0.1550
Si  0.1852  0.2514  0.5400
Si  0.1246  0.5380  0.3450
Si  0.4057  0.8615  0.1071
Sn  0.3868  0.4258  0.6633
Sn  0.9480  0.8662  0.1802
Sn  0.3093  0.7900  0.3974
Sn  0.3868  0.5742  0.8367
Sn  0.0520  0.8662  0.6802
Sn  0.3093  0.2100  0.1026
Sn  0.6907  0.7900  0.8974
Sn  0.9480  0.1338  0.3198
Sn  0.6132  0.4258  0.1633
Sn  0.6907  0.2100  0.6026
Sn  0.0520  0.1338  0.8198
Sn  0.6132  0.5742  0.3367
O  0.4251  0.2461  0.8265
O  0.7562  0.1869  0.9564
O  0.7057  0.3934  0.6164
O  0.0572  0.3606  0.7107
O  0.9402  0.6097  0.5421
O  0.7774  0.5000  0.7500
O  0.9402  0.3903  0.9579
O  0.6235  0.7142  0.4083
O  0.5000  0.0000  0.0000
O  0.2775  0.8905  0.1990
O  0.9531  0.8540  0.3523
O  0.0572  0.6394  0.7893
O  0.7057  0.6066  0.8836
O  0.7562  0.8131  0.5436
O  0.4251  0.7539  0.6735
O  0.9531  0.1460  0.1477
O  0.3765  0.7142  0.9083
O  0.2775  0.1095  0.3010
O  0.5000  0.0000  0.5000
O  0.7225  0.8905  0.6990
O  0.6235  0.2858  0.0917
O  0.0469  0.8540  0.8523
O  0.5749  0.2461  0.3265
O  0.2438  0.1869  0.4564
O  0.2943  0.3934  0.1164
O  0.9428  0.3606  0.2107
O  0.0469  0.1460  0.6477
O  0.7225  0.1095  0.8010
O  0.3765  0.2858  0.5917
O  0.0598  0.6097  0.0421
O  0.2226  0.5000  0.2500
O  0.0598  0.3903  0.4579
O  0.9428  0.6394  0.2893
O  0.2943  0.6066  0.3836
O  0.2438  0.8131  0.0436
O  0.5749  0.7539  0.1735

Computed properties:
energy of formation from the pure elements = -12.9 eV per formula unit
total magnetization = 0.0 μB per formula unit
electronic total energy = -7.030 eV/atom